The following is a PBE with a Hubbard U calculation of a relaxed structure of Na2Mo2As3O16, from the Materials Project.

The structure in extended XYZ format:
```
46
Lattice="8.3501 0.0000 0.0000 -1.3059 8.8752 0.0000 -3.4817 -3.4485 10.5490" Properties=species:S:1:pos:R:3 pbc="T T T"
Na 1.2604 -0.1233 1.2278
Na 0.0508 4.6193 4.5188
Na 3.5117 0.8075 6.0302
Na 2.3021 5.5501 9.3212
Mo -1.4764 1.5460 4.3113
Mo -0.8644 1.4252 7.3417
Mo 4.4269 4.0015 3.2073
Mo 5.0389 3.8808 6.2377
As -3.6063 2.4801 9.3649
As -1.5040 4.9588 8.7505
As 2.7262 2.6756 0.5470
As 0.8363 2.7512 10.0019
As 5.0665 0.4680 1.7985
As 7.1689 2.9467 1.1841
O -2.2760 3.8741 4.5584
O -1.1803 -0.0936 3.9162
O -0.9649 6.5277 1.9322
O -0.6156 2.5074 2.8721
O -0.2008 5.5294 2.1274
O -2.8142 4.0954 9.7789
O -2.0421 1.6013 8.8195
O 1.1475 2.0493 0.5861
O -1.5714 3.8136 7.2848
O -0.6608 -0.2663 7.2868
O -0.0882 1.9947 5.5589
O 0.1161 6.8046 5.3076
O 2.0808 -0.0126 3.7143
O 1.1906 7.8577 3.0538
O 0.6622 1.9783 8.2551
O 3.5615 1.0368 1.0185
O 0.0010 4.3900 9.5305
O 2.9003 3.4485 2.2938
O 2.3719 -2.4310 7.4952
O 1.4817 5.4394 6.8347
O 3.4464 -1.3779 5.2414
O 3.6507 3.4321 4.9900
O 4.2233 5.6931 3.2622
O 5.1339 1.6131 3.2642
O 2.4150 3.3775 9.9629
O 5.6046 3.8254 1.7295
O 6.3767 1.3314 0.7701
O 3.7633 -0.1026 8.4216
O 4.1781 2.9193 7.6768
O 4.5274 -1.1010 8.6168
O 4.7428 5.5203 6.6328
O 5.8385 1.5526 5.9906
```

Properties
Formation energy from the elements = -1.1027 eV per atom
Uncorrected energy = -5.820 eV/atom
Polymorph energy (0 for the lowest one) = 0.000 eV per atom
Magnetic moment = 5.0 μB/f.u.
Mass density = 3.05 g cm⁻³
SG = No. 2